Record 1
Entry from the Materials Project database: an optimized crystal structure of Na2UF6 (GGA-PBE).

Unit cell a=6.7831 b=6.7831 c=6.9506 alpha=99.31 beta=99.31 gamma=120.55
Closest atoms and distances in Å follow each position.
Fractional positions:
Na: 0.0832 0.9168 0.7500  8 F 2.45-2.50
Na: 0.2453 0.7547 0.2500  8 F 2.46-2.50
Na: 0.7547 0.2453 0.7500  8 F 2.46-2.50
Na: 0.9168 0.0832 0.2500  8 F 2.45-2.50
U: 0.4101 0.5899 0.7500  8 F 2.22-2.41
U: 0.5899 0.4101 0.2500  8 F 2.22-2.41
F: 0.0701 0.2336 0.6288  1 U 2.22, 2 Na 2.46-2.47
F: 0.1461 0.6297 0.8755  1 U 2.23, 3 Na 2.45-2.47
F: 0.2336 0.0701 0.1288  1 U 2.22, 2 Na 2.46-2.47
F: 0.3170 0.4694 0.3843  2 U 2.38-2.41, 2 Na 2.50, 1 F 2.52
F: 0.3703 0.8539 0.6245  1 U 2.23, 3 Na 2.45-2.47
F: 0.4694 0.3170 0.8843  2 U 2.38-2.41, 2 Na 2.50, 1 F 2.52
F: 0.5306 0.6830 0.1157  2 U 2.38-2.41, 2 Na 2.50, 1 F 2.52
F: 0.6297 0.1461 0.3755  1 U 2.23, 3 Na 2.45-2.47
F: 0.6830 0.5306 0.6157  2 U 2.38-2.41, 2 Na 2.50, 1 F 2.52
F: 0.7664 0.9299 0.8712  1 U 2.22, 2 Na 2.46-2.47
F: 0.8539 0.3703 0.1245  1 U 2.23, 3 Na 2.45-2.47
F: 0.9299 0.7664 0.3712  1 U 2.22, 2 Na 2.46-2.47

For the formation enthalpy at 0 K, the calculation gives -3.568 eV per atom. The value obtained for the volume is 260 Å³ per cell. The calculation puts the energy with MP2020 corrections at -6.392 eV per atom.



Record 2
Entry from the Materials Project database: an optimized crystal structure of NaUF6 (GGA-PBE).

Unit cell a=6.2595 b=6.2595 c=6.2595 alpha=60.00 beta=60.00 gamma=60.00
Closest atoms and distances in Å follow each position.
Fractional positions:
Na: 0.0000 0.0000 0.0000  6 F 2.34
U: 0.5000 0.5000 0.5000  6 F 2.09
F: 0.2638 0.2638 0.7362  1 U 2.09, 1 Na 2.34
F: 0.2638 0.7362 0.2638  1 U 2.09, 1 Na 2.34
F: 0.2638 0.7362 0.7362  1 U 2.09, 1 Na 2.34
F: 0.7362 0.2638 0.2638  1 U 2.09, 1 Na 2.34
F: 0.7362 0.2638 0.7362  1 U 2.09, 1 Na 2.34
F: 0.7362 0.7362 0.2638  1 U 2.09, 1 Na 2.34

For the formation enthalpy at 0 K, the calculation gives -3.765 eV per atom. The value obtained for the volume is 173 Å³ per cell. The calculation puts the energy with MP2020 corrections at -6.778 eV per atom.



Record 3
Entry from the Materials Project database: an optimized crystal structure of NaU2F9 (GGA-PBE).

Unit cell a=6.7262 b=6.7262 c=8.6923 alpha=101.20 beta=101.20 gamma=62.91
Closest atoms and distances in Å follow each position.
Fractional positions:
Na: 0.1053 0.8947 0.5000  6 F 2.34-2.44
Na: 0.8947 0.1053 0.0000  6 F 2.34-2.44
U: 0.2278 0.4123 0.0895  9 F 2.26-2.43
U: 0.4123 0.2278 0.5895  9 F 2.26-2.43
U: 0.6299 0.8163 0.2125  9 F 2.25-2.41
U: 0.8163 0.6299 0.7125  9 F 2.25-2.41
F: 0.0494 0.7073 0.9316  2 U 2.35-2.36, 1 Na 2.38, 2 F 2.60-2.62
F: 0.0504 0.2718 0.5781  2 U 2.30-2.41, 1 Na 2.37, 1 F 2.55
F: 0.1428 0.6082 0.6350  1 Na 2.34, 2 U 2.35-2.38, 1 F 2.55
F: 0.2718 0.0504 0.0781  2 U 2.30-2.41, 1 Na 2.37, 1 F 2.55
F: 0.3076 0.4025 0.3596  2 U 2.31-2.34
F: 0.3378 0.9921 0.3733  2 U 2.34-2.35, 1 Na 2.44, 3 F 2.59-2.62
F: 0.4025 0.3076 0.8596  2 U 2.31-2.34
F: 0.4368 0.9005 0.6653  2 U 2.34-2.38, 1 Na 2.42, 2 F 2.56-2.62
F: 0.4399 0.6038 0.1513  2 U 2.25-2.26
F: 0.6038 0.4399 0.6513  2 U 2.25-2.26
F: 0.6082 0.1428 0.1350  1 Na 2.34, 2 U 2.35-2.38, 1 F 2.55
F: 0.6468 0.7367 0.9457  2 U 2.29-2.35
F: 0.7073 0.0494 0.4316  2 U 2.35-2.36, 1 Na 2.38, 2 F 2.60-2.62
F: 0.7367 0.6468 0.4457  2 U 2.29-2.35
F: 0.7729 0.9965 0.7283  2 U 2.33-2.43, 1 Na 2.43, 2 F 2.56-2.60
F: 0.9005 0.4368 0.1653  2 U 2.34-2.38, 1 Na 2.42, 2 F 2.56-2.62
F: 0.9921 0.3378 0.8733  2 U 2.34-2.35, 1 Na 2.44, 3 F 2.59-2.62
F: 0.9965 0.7729 0.2283  2 U 2.33-2.43, 1 Na 2.43, 2 F 2.56-2.60

For the formation enthalpy at 0 K, the calculation gives -3.816 eV per atom. The value obtained for the volume is 341 Å³ per cell. The calculation puts the energy with MP2020 corrections at -7.244 eV per atom.



Record 4
Entry from the Materials Project database: an optimized crystal structure of Na2UF6 (GGA-PBE).

Unit cell a=6.0763 b=6.0763 c=3.7347 alpha=90.00 beta=90.00 gamma=120.00
Closest atoms and distances in Å follow each position.
Fractional positions:
Na: 0.3333 0.6667 0.4206  6 F 2.34-2.48
Na: 0.6667 0.3333 0.5794  6 F 2.34-2.48
U: 0.0000 0.0000 0.0000  9 F 2.25-2.40
F: 0.0000 0.2486 0.5000  2 Na 2.34, 2 U 2.40, 2 F 2.62
F: 0.0000 0.6293 0.0000  1 U 2.25, 2 Na 2.48
F: 0.2486 0.0000 0.5000  2 Na 2.34, 2 U 2.40, 2 F 2.62
F: 0.3707 0.3707 0.0000  1 U 2.25, 2 Na 2.48
F: 0.6293 0.0000 0.0000  1 U 2.25, 2 Na 2.48
F: 0.7514 0.7514 0.5000  2 Na 2.34, 2 U 2.40, 2 F 2.62

For the formation enthalpy at 0 K, the calculation gives -3.549 eV per atom. The value obtained for the volume is 119 Å³ per cell. The calculation puts the energy with MP2020 corrections at -6.374 eV per atom.



Record 5
Entry from the Materials Project database: an optimized crystal structure of NaY3F10 (GGA-PBE).

Unit cell a=5.6551 b=5.6551 c=10.8526 alpha=90.00 beta=90.00 gamma=90.00
Closest atoms and distances in Å follow each position.
Fractional positions:
Na: 0.0000 0.0000 0.0000  12 F 2.62-2.83
Na: 0.0000 0.0000 0.5000  12 F 2.62-2.83
Y: 0.0000 0.5000 0.2254  9 F 2.35-2.46
Y: 0.0000 0.5000 0.7746  9 F 2.35-2.46
Y: 0.5000 0.0000 0.2746  9 F 2.35-2.46
Y: 0.5000 0.0000 0.7254  9 F 2.35-2.46
Y: 0.5000 0.5000 0.0000  8 F 2.30
Y: 0.5000 0.5000 0.5000  8 F 2.30
F: 0.0000 0.0000 0.2500  8 F 2.55, 2 Na 2.71, 4 Y 2.84
F: 0.0000 0.0000 0.7500  8 F 2.55, 2 Na 2.71, 4 Y 2.84
F: 0.0000 0.5000 0.0000  2 Y 2.45, 8 F 2.55
F: 0.2613 0.2881 0.3685  3 Y 2.30-2.46, 3 F 2.40-2.55
F: 0.2613 0.2881 0.6315  3 Y 2.30-2.46, 3 F 2.40-2.55
F: 0.2613 0.7119 0.3685  3 Y 2.30-2.46, 3 F 2.40-2.55
F: 0.2613 0.7119 0.6315  3 Y 2.30-2.46, 3 F 2.40-2.55
F: 0.2881 0.2613 0.1315  3 Y 2.30-2.46, 3 F 2.40-2.55
F: 0.2881 0.2613 0.8685  3 Y 2.30-2.46, 3 F 2.40-2.55
F: 0.2881 0.7387 0.1315  3 Y 2.30-2.46, 3 F 2.40-2.55
F: 0.2881 0.7387 0.8685  3 Y 2.30-2.46, 3 F 2.40-2.55
F: 0.5000 0.0000 0.5000  2 Y 2.45, 8 F 2.55
F: 0.7119 0.2613 0.1315  3 Y 2.30-2.46, 3 F 2.40-2.55
F: 0.7119 0.2613 0.8685  3 Y 2.30-2.46, 3 F 2.40-2.55
F: 0.7119 0.7387 0.1315  3 Y 2.30-2.46, 3 F 2.40-2.55
F: 0.7119 0.7387 0.8685  3 Y 2.30-2.46, 3 F 2.40-2.55
F: 0.7387 0.2881 0.3685  3 Y 2.30-2.46, 3 F 2.40-2.55
F: 0.7387 0.2881 0.6315  3 Y 2.30-2.46, 3 F 2.40-2.55
F: 0.7387 0.7119 0.3685  3 Y 2.30-2.46, 3 F 2.40-2.55
F: 0.7387 0.7119 0.6315  3 Y 2.30-2.46, 3 F 2.40-2.55

For the formation enthalpy at 0 K, the calculation gives -4.093 eV per atom. The value obtained for the volume is 347 Å³ per cell. The calculation puts the energy with MP2020 corrections at -6.941 eV per atom.



Record 6
Entry from the Materials Project database: an optimized crystal structure of NaZr2ZnF11 (GGA-PBE).

Unit cell a=5.7523 b=5.7523 c=7.8940 alpha=110.75 beta=110.75 gamma=72.86
Closest atoms and distances in Å follow each position.
Fractional positions:
Na: 0.0000 0.0000 0.0000  4 F 2.24-2.25
Zr: 0.4934 0.4934 0.7634  7 F 1.98-2.18
Zr: 0.5066 0.5066 0.2366  7 F 1.98-2.18
Zn: 0.0000 0.0000 0.5000  6 F 2.05-2.09
F: 0.1891 0.7786 0.6876  1 Zr 2.09, 1 Zn 2.09
F: 0.2214 0.8109 0.3124  1 Zr 2.09, 1 Zn 2.09
F: 0.2462 0.2462 0.6484  1 Zn 2.05, 1 Zr 2.06
F: 0.2682 0.2682 0.1101  1 Zr 1.98
F: 0.3289 0.6711 0.0000  2 Zr 2.18, 1 Na 2.25, 1 F 2.34
F: 0.5000 0.5000 0.5000  2 Zr 2.11
F: 0.6711 0.3289 0.0000  2 Zr 2.18, 1 Na 2.25, 1 F 2.34
F: 0.7318 0.7318 0.8899  1 Zr 1.98
F: 0.7538 0.7538 0.3516  1 Zn 2.05, 1 Zr 2.06
F: 0.7786 0.1891 0.6876  1 Zr 2.09, 1 Zn 2.09
F: 0.8109 0.2214 0.3124  1 Zr 2.09, 1 Zn 2.09

For the formation enthalpy at 0 K, the calculation gives -3.636 eV per atom. The value obtained for the volume is 224 Å³ per cell. The calculation puts the energy with MP2020 corrections at -6.352 eV per atom.



Which of these has the highest formation enthalpy at 0 K?
number 4